Entry 1:
Crystalline Er4Ge3O15 at its relaxed geometry, computed with PBE-GGA.

Calculated values
The formation energy comes out at -56.218 eV per formula unit. The calculation puts the electronic total energy at -6.921 eV per atom. The value obtained for the total magnetization is 0.223 μB per atom. The volume is 579.4 Å³ per cell.

a b c (Å): 9.330 9.330 7.083
angles (deg): 90.00 90.00 70.00
Element x y z (fractional)
1 Er 0.079 0.660 0.750
2 Er 0.300 0.407 0.250
3 Er 0.340 0.921 0.750
4 Er 0.407 0.300 0.750
5 Er 0.593 0.700 0.250
6 Er 0.660 0.079 0.250
7 Er 0.700 0.593 0.750
8 Er 0.921 0.340 0.250
9 Ge 0.000 0.000 0.000
10 Ge 0.000 0.000 0.500
11 Ge 0.036 0.274 0.750
12 Ge 0.274 0.036 0.250
13 Ge 0.726 0.964 0.750
14 Ge 0.964 0.726 0.250
15 O 0.032 0.526 0.250
16 O 0.038 0.787 0.044
17 O 0.038 0.787 0.456
18 O 0.068 0.932 0.750
19 O 0.185 0.234 0.250
20 O 0.213 0.962 0.044
21 O 0.213 0.962 0.456
22 O 0.234 0.185 0.750
23 O 0.242 0.485 0.557
24 O 0.242 0.485 0.943
25 O 0.363 0.637 0.750
26 O 0.423 0.577 0.250
27 O 0.474 0.968 0.250
28 O 0.485 0.242 0.057
29 O 0.485 0.242 0.443
30 O 0.515 0.758 0.557
31 O 0.515 0.758 0.943
32 O 0.526 0.032 0.750
33 O 0.577 0.423 0.750
34 O 0.637 0.363 0.250
35 O 0.758 0.515 0.057
36 O 0.758 0.515 0.443
37 O 0.766 0.815 0.250
38 O 0.787 0.038 0.544
39 O 0.787 0.038 0.956
40 O 0.815 0.766 0.750
41 O 0.932 0.068 0.250
42 O 0.962 0.213 0.544
43 O 0.962 0.213 0.956
44 O 0.968 0.474 0.750

***

Entry 2:
Crystalline Er4Ge6Os7 at its relaxed geometry, computed with PBE-GGA.

Calculated values
The formation energy comes out at -7.297 eV per formula unit. The calculation puts the electronic total energy at -7.759 eV per atom. The volume is 290.2 Å³ per cell.

a b c (Å): 7.224 7.224 7.224
angles (deg): 109.47 109.47 109.47
Element x y z (fractional)
1 Er 0.000 0.000 0.500
2 Er 0.000 0.500 0.000
3 Er 0.500 0.000 0.000
4 Er 0.500 0.500 0.500
5 Ge 0.000 0.310 0.310
6 Ge 0.000 0.690 0.690
7 Ge 0.310 0.000 0.310
8 Ge 0.310 0.310 0.000
9 Ge 0.690 0.000 0.690
10 Ge 0.690 0.690 0.000
11 Os 0.000 0.000 0.000
12 Os 0.250 0.500 0.750
13 Os 0.250 0.750 0.500
14 Os 0.500 0.250 0.750
15 Os 0.500 0.750 0.250
16 Os 0.750 0.250 0.500
17 Os 0.750 0.500 0.250

***

Entry 3:
Crystalline ErGePd2 at its relaxed geometry, computed with PBE-GGA.

Calculated values
The formation energy comes out at -3.661 eV per formula unit. The calculation puts the electronic total energy at -5.803 eV per atom. The volume is 293.8 Å³ per cell.

a b c (Å): 7.328 7.154 5.604
angles (deg): 90.00 90.00 90.00
Element x y z (fractional)
1 Er 0.025 0.250 0.144
2 Er 0.475 0.750 0.644
3 Er 0.525 0.250 0.356
4 Er 0.975 0.750 0.856
5 Ge 0.122 0.750 0.359
6 Ge 0.378 0.250 0.859
7 Ge 0.622 0.750 0.141
8 Ge 0.878 0.250 0.641
9 Pd 0.183 0.051 0.588
10 Pd 0.183 0.449 0.588
11 Pd 0.317 0.551 0.088
12 Pd 0.317 0.949 0.088
13 Pd 0.683 0.051 0.912
14 Pd 0.683 0.449 0.912
15 Pd 0.817 0.551 0.412
16 Pd 0.817 0.949 0.412

***

Entry 4:
Crystalline ErGePd at its relaxed geometry, computed with PBE-GGA.

Calculated values
The formation energy comes out at -2.725 eV per formula unit. The calculation puts the electronic total energy at -5.698 eV per atom. The value obtained for the total magnetization is 0.000 μB per atom. The volume is 117.9 Å³ per cell.

a b c (Å): 5.646 5.646 6.966
angles (deg): 128.05 128.05 45.56
Element x y z (fractional)
1 Er 0.044 0.044 0.285
2 Er 0.956 0.956 0.715
3 Ge 0.340 0.340 0.287
4 Ge 0.660 0.660 0.713
5 Pd 0.323 0.323 0.874
6 Pd 0.677 0.677 0.126

***

Entry 5:
Crystalline ErGePd at its relaxed geometry, computed with PBE-GGA.

Calculated values
The formation energy comes out at -2.951 eV per formula unit. The calculation puts the electronic total energy at -5.774 eV per atom. The value obtained for the total magnetization is 0.000 μB per atom. The volume is 348.1 Å³ per cell.

a b c (Å): 11.319 11.319 11.319
angles (deg): 157.65 45.64 140.74
Element x y z (fractional)
1 Er 0.000 0.000 0.000
2 Er 0.243 0.076 0.167
3 Er 0.333 0.000 0.333
4 Er 0.583 0.083 0.500
5 Er 0.667 0.000 0.667
6 Er 0.909 0.076 0.833
7 Ge 0.316 0.382 0.934
8 Ge 0.447 0.382 0.066
9 Ge 0.462 0.698 0.764
10 Ge 0.788 0.381 0.407
11 Ge 0.933 0.698 0.236
12 Ge 0.974 0.381 0.593
13 Pd 0.102 0.369 0.733
14 Pd 0.141 0.713 0.428
15 Pd 0.285 0.713 0.572
16 Pd 0.604 0.708 0.896
17 Pd 0.635 0.369 0.267
18 Pd 0.813 0.708 0.104

***

Entry 6:
Crystalline Er2Ge6Pd at its relaxed geometry, computed with PBE-GGA.

Calculated values
The formation energy comes out at -4.384 eV per formula unit. The calculation puts the electronic total energy at -5.160 eV per atom. The value obtained for the total magnetization is 0.001 μB per atom. The volume is 180.7 Å³ per cell.

a b c (Å): 4.076 11.159 11.159
angles (deg): 20.86 90.00 90.00
Element x y z (fractional)
1 Er 0.000 0.000 0.000
2 Er 0.000 0.341 0.341
3 Ge 0.000 0.601 0.601
4 Ge 0.000 0.715 0.715
5 Ge 0.500 0.100 0.100
6 Ge 0.500 0.214 0.214
7 Ge 0.500 0.464 0.464
8 Ge 0.500 0.892 0.892
9 Pd 0.500 0.781 0.781

***

Entry 7:
Crystalline Er2Ge6Pt at its relaxed geometry, computed with PBE-GGA.

Calculated values
The formation energy comes out at -4.629 eV per formula unit. The calculation puts the electronic total energy at -5.286 eV per atom. The value obtained for the total magnetization is 0.001 μB per atom. The volume is 181.9 Å³ per cell.

a b c (Å): 4.085 11.150 11.150
angles (deg): 20.99 90.00 90.00
Element x y z (fractional)
1 Er 0.000 0.000 0.000
2 Er 0.000 0.339 0.339
3 Ge 0.000 0.601 0.601
4 Ge 0.000 0.715 0.715
5 Ge 0.500 0.100 0.100
6 Ge 0.500 0.214 0.214
7 Ge 0.500 0.463 0.463
8 Ge 0.500 0.892 0.892
9 Pt 0.500 0.782 0.782

***

Entry 8:
Crystalline Er2Ge3Pt9 at its relaxed geometry, computed with PBE-GGA.

Calculated values
The formation energy comes out at -10.934 eV per formula unit. The calculation puts the electronic total energy at -6.327 eV per atom. The value obtained for the total magnetization is 0.000 μB per atom. The volume is 477.1 Å³ per cell.

a b c (Å): 7.811 7.811 10.088
angles (deg): 112.89 112.89 60.21
Element x y z (fractional)
1 Er 0.084 0.256 0.251
2 Er 0.256 0.084 0.751
3 Er 0.744 0.916 0.249
4 Er 0.916 0.744 0.749
5 Ge 0.000 0.500 0.000
6 Ge 0.139 0.682 0.502
7 Ge 0.318 0.861 0.998
8 Ge 0.500 0.000 0.500
9 Ge 0.682 0.139 0.002
10 Ge 0.861 0.318 0.498
11 Pt 0.022 0.861 0.078
12 Pt 0.139 0.978 0.422
13 Pt 0.193 0.360 0.579
14 Pt 0.203 0.584 0.257
15 Pt 0.300 0.479 0.928
16 Pt 0.360 0.193 0.079
17 Pt 0.365 0.635 0.750
18 Pt 0.416 0.797 0.243
19 Pt 0.479 0.300 0.428
20 Pt 0.521 0.700 0.572
21 Pt 0.584 0.203 0.757
22 Pt 0.635 0.365 0.250
23 Pt 0.640 0.807 0.921
24 Pt 0.700 0.521 0.072
25 Pt 0.797 0.416 0.743
26 Pt 0.807 0.640 0.421
27 Pt 0.861 0.022 0.578
28 Pt 0.978 0.139 0.922

***

Entry 9:
Crystalline ErGe2Pt at its relaxed geometry, computed with PBE-GGA.

Calculated values
The formation energy comes out at -3.363 eV per formula unit. The calculation puts the electronic total energy at -5.812 eV per atom. The value obtained for the total magnetization is 0.000 μB per atom. The volume is 311.5 Å³ per cell.

a b c (Å): 9.576 9.576 9.576
angles (deg): 153.94 125.61 61.28
Element x y z (fractional)
1 Er 0.200 0.200 0.000
2 Er 0.237 0.000 0.237
3 Er 0.763 0.000 0.763
4 Er 0.800 0.800 0.000
5 Ge 0.074 0.574 0.500
6 Ge 0.149 0.799 0.350
7 Ge 0.427 0.427 0.000
8 Ge 0.449 0.799 0.650
9 Ge 0.551 0.201 0.350
10 Ge 0.573 0.573 0.000
11 Ge 0.851 0.201 0.650
12 Ge 0.926 0.426 0.500
13 Pt 0.103 0.353 0.750
14 Pt 0.398 0.647 0.750
15 Pt 0.602 0.353 0.250
16 Pt 0.897 0.647 0.250

***

Entry 10:
Crystalline Er5Ge10Rh4 at its relaxed geometry, computed with PBE-GGA.

Calculated values
The formation energy comes out at -15.035 eV per formula unit. The calculation puts the electronic total energy at -5.977 eV per atom. The value obtained for the total magnetization is 0.000 μB per atom. The volume is 730.6 Å³ per cell.

a b c (Å): 13.060 13.060 4.284
angles (deg): 90.00 90.00 90.00
Element x y z (fractional)
1 Er 0.000 0.000 0.000
2 Er 0.113 0.387 0.500
3 Er 0.175 0.675 0.500
4 Er 0.325 0.175 0.500
5 Er 0.387 0.887 0.500
6 Er 0.500 0.500 0.000
7 Er 0.613 0.113 0.500
8 Er 0.675 0.825 0.500
9 Er 0.825 0.325 0.500
10 Er 0.887 0.613 0.500
11 Ge 0.003 0.841 0.500
12 Ge 0.066 0.566 0.000
13 Ge 0.159 0.003 0.500
14 Ge 0.161 0.200 0.000
15 Ge 0.200 0.839 0.000
16 Ge 0.300 0.339 0.000
17 Ge 0.339 0.700 0.000
18 Ge 0.341 0.503 0.500
19 Ge 0.434 0.066 0.000
20 Ge 0.497 0.341 0.500
21 Ge 0.503 0.659 0.500
22 Ge 0.566 0.934 0.000
23 Ge 0.659 0.497 0.500
24 Ge 0.661 0.300 0.000
25 Ge 0.700 0.661 0.000
26 Ge 0.800 0.161 0.000
27 Ge 0.839 0.800 0.000
28 Ge 0.841 0.997 0.500
29 Ge 0.934 0.434 0.000
30 Ge 0.997 0.159 0.500
31 Rh 0.022 0.754 0.000
32 Rh 0.246 0.022 0.000
33 Rh 0.254 0.522 0.000
34 Rh 0.478 0.254 0.000
35 Rh 0.522 0.746 0.000
36 Rh 0.746 0.478 0.000
37 Rh 0.754 0.978 0.000
38 Rh 0.978 0.246 0.000

***

Entry 11:
Crystalline ErGe2Rh2 at its relaxed geometry, computed with PBE-GGA.

Calculated values
The formation energy comes out at -4.328 eV per formula unit. The calculation puts the electronic total energy at -6.574 eV per atom. The volume is 88.4 Å³ per cell.

a b c (Å): 5.934 5.934 5.934
angles (deg): 139.20 139.20 59.08
Element x y z (fractional)
1 Er 0.000 0.000 0.000
2 Ge 0.379 0.379 0.000
3 Ge 0.621 0.621 0.000
4 Rh 0.250 0.750 0.500
5 Rh 0.750 0.250 0.500

***

Entry 12:
Crystalline Er3Ge13Rh4 at its relaxed geometry, computed with PBE-GGA.

Calculated values
The formation energy comes out at -10.598 eV per formula unit. The calculation puts the electronic total energy at -5.693 eV per atom. The value obtained for the total magnetization is 0.000 μB per atom. The volume is 735.4 Å³ per cell.

a b c (Å): 9.026 9.026 9.026
angles (deg): 90.00 90.00 90.00
Element x y z (fractional)
1 Er 0.000 0.250 0.500
2 Er 0.000 0.750 0.500
3 Er 0.250 0.500 0.000
4 Er 0.500 0.000 0.250
5 Er 0.500 0.000 0.750
6 Er 0.750 0.500 0.000
7 Ge 0.000 0.000 0.000
8 Ge 0.000 0.310 0.147
9 Ge 0.000 0.310 0.853
10 Ge 0.000 0.690 0.147
11 Ge 0.000 0.690 0.853
12 Ge 0.147 0.000 0.310
13 Ge 0.147 0.000 0.690
14 Ge 0.190 0.500 0.353
15 Ge 0.190 0.500 0.647
16 Ge 0.310 0.147 0.000
17 Ge 0.310 0.853 0.000
18 Ge 0.353 0.190 0.500
19 Ge 0.353 0.810 0.500
20 Ge 0.500 0.353 0.190
21 Ge 0.500 0.353 0.810
22 Ge 0.500 0.500 0.500
23 Ge 0.500 0.647 0.190
24 Ge 0.500 0.647 0.810
25 Ge 0.647 0.190 0.500
26 Ge 0.647 0.810 0.500
27 Ge 0.690 0.147 0.000
28 Ge 0.690 0.853 0.000
29 Ge 0.810 0.500 0.353
30 Ge 0.810 0.500 0.647
31 Ge 0.853 0.000 0.310
32 Ge 0.853 0.000 0.690
33 Rh 0.250 0.250 0.250
34 Rh 0.250 0.250 0.750
35 Rh 0.250 0.750 0.250
36 Rh 0.250 0.750 0.750
37 Rh 0.750 0.250 0.250
38 Rh 0.750 0.250 0.750
39 Rh 0.750 0.750 0.250
40 Rh 0.750 0.750 0.750